The following is a PBE with a Hubbard U calculation of a relaxed Li3V2F12 crystal, from the Materials Project database.

abc: 8.8424 5.0305 9.7282
angles: 88.37 90.00 90.00
Element x y z (fractional)
1 Li 0.3928 0.9841 0.8917
2 Li 0.8501 0.5035 0.6177
3 Li 0.3150 0.0180 0.6023
4 Li 0.6072 0.9841 0.3917
5 Li 0.1499 0.5035 0.1177
6 Li 0.6850 0.0180 0.1023
7 V 0.0072 0.0023 0.8684
8 V 0.5062 0.4973 0.6330
9 V 0.9928 0.0023 0.3684
10 V 0.4938 0.4973 0.1330
11 F 0.1392 0.1773 0.9786
12 F 0.0185 0.7118 0.9834
13 F 0.8516 0.1249 0.9691
14 F 0.1729 0.8851 0.7744
15 F 0.9966 0.2897 0.7519
16 F 0.8855 0.8218 0.7565
17 F 0.4939 0.7859 0.7505
18 F 0.3686 0.2893 0.7412
19 F 0.6736 0.3521 0.7170
20 F 0.3516 0.6630 0.5373
21 F 0.4911 0.2019 0.5120
22 F 0.6555 0.6791 0.5202
23 F 0.8608 0.1773 0.4786
24 F 0.9815 0.7118 0.4834
25 F 0.1484 0.1249 0.4691
26 F 0.8271 0.8851 0.2744
27 F 0.0034 0.2897 0.2519
28 F 0.1145 0.8218 0.2565
29 F 0.5061 0.7859 0.2505
30 F 0.6314 0.2893 0.2412
31 F 0.3264 0.3521 0.2170
32 F 0.6484 0.6630 0.0373
33 F 0.5089 0.2019 0.0120
34 F 0.3445 0.6791 0.0202

Computed properties:
Distance to the lowest polymorph of the same formula   6 meV/atom
Formation enthalpy at 0 K   -3.036 eV per atom
Total magnetization   1.0 μB/f.u.